Material: LiCr4P3O12
Method: DFT, PBE with a Hubbard U
State: optimized geometry

Computed properties:
* total energy after the MP2020 corrections: -8.306 eV/atom
* energy above the most stable polymorph in this dataset: 0.00 kcal/mol of atoms
* spin magnetization: 64.0 μB per cell

Unit cell a=6.2962 b=14.6383 c=10.3594 alpha=90.00 beta=90.00 gamma=90.00
With the nearest neighbours (Å) after each atom.
Space group Pnma (No. 62)
Asymmetric unit:
Li: 0.0661 0.2500 0.2286 [4 per cell]  3 O 1.96-2.14
Cr: 0.0715 0.6315 0.3466 [8 per cell]  4 O 2.01-2.10
Cr: 0.1509 0.5845 0.9380 [8 per cell]  4 O 2.06-2.28
P: 0.0067 0.2500 0.9081 [4 per cell]  4 O 1.53-1.59
P: 0.1419 0.5727 0.6358 [8 per cell]  4 O 1.54-1.58
O: 0.0291 0.1100 0.4628 [8 per cell]  1 P 1.58
O: 0.0468 0.7500 0.9477 [4 per cell]  1 P 1.53
O: 0.0571 0.0117 0.7071 [8 per cell]  1 P 1.54
O: 0.0882 0.6621 0.1532 [8 per cell]  1 P 1.55
O: 0.1649 0.0474 0.0474 [8 per cell]  1 P 1.57
O: 0.1952 0.6462 0.7372 [8 per cell]  1 P 1.54
O: 0.2437 0.7500 0.3869 [4 per cell]  1 P 1.59

=====

Material: LiCrP2O7
Method: DFT, PBE with a Hubbard U
State: optimized geometry

Computed properties:
* total energy after the MP2020 corrections: -7.846 eV/atom
* energy above the most stable polymorph in this dataset: 0.29 kcal/mol of atoms

Unit cell a=7.1269 b=8.2095 c=9.6393 alpha=90.00 beta=110.71 gamma=90.00
With the nearest neighbours (Å) after each atom.
Space group P2_1/c (No. 14)
Asymmetric unit:
Li: 0.1774 0.1124 0.2469 [4 per cell]  3 O 2.00-2.06
Cr: 0.2322 0.0013 0.7506 [4 per cell]  6 O 1.99-2.04
P: 0.1840 0.6930 0.9455 [4 per cell]  4 O 1.52-1.62
P: 0.4071 0.2298 0.0531 [4 per cell]  4 O 1.52-1.61
O: 0.0624 0.5592 0.8404 [4 per cell]  1 P 1.54
O: 0.1222 0.6348 0.3819 [4 per cell]  1 P 1.54
O: 0.1914 0.6821 0.1047 [4 per cell]  1 P 1.52
O: 0.2802 0.1647 0.6149 [4 per cell]  1 P 1.52
O: 0.2869 0.1964 0.8886 [4 per cell]  1 P 1.54
O: 0.4050 0.6575 0.9409 [4 per cell]  2 P 1.61-1.62
O: 0.4829 0.0759 0.1462 [4 per cell]  1 P 1.53

=====

Material: LiCrPO4
Method: DFT, PBE with a Hubbard U
State: optimized geometry

Computed properties:
* total energy after the MP2020 corrections: -7.798 eV/atom
* energy above the most stable polymorph in this dataset: 0.48 kcal/mol of atoms
* spin magnetization: 32.0 μB per cell

Unit cell a=5.6585 b=11.2213 c=9.6278 alpha=90.00 beta=90.00 gamma=90.00
With the nearest neighbours (Å) after each atom.
Space group Fdd2 (No. 43)
Asymmetric unit:
Li: 0.0000 0.0000 0.0000 [8 per cell]  4 O 2.10-2.33
Cr: 0.0000 0.0000 0.3416 [8 per cell]  4 O 1.99-2.09
P: 0.0000 0.0000 0.6971 [8 per cell]  4 O 1.55-1.56
O: 0.0820 0.1780 0.0451 [16 per cell]  1 P 1.56
O: 0.1020 0.3300 0.8489 [16 per cell]  1 P 1.55

=====

Material: LiCrPO4
Method: DFT, PBE with a Hubbard U
State: optimized geometry

Computed properties:
* total energy after the MP2020 corrections: -7.745 eV/atom
* energy above the most stable polymorph in this dataset: 1.71 kcal/mol of atoms
* spin magnetization: 0.0 μB per cell

Unit cell a=9.2487 b=6.4457 c=5.1207 alpha=90.00 beta=90.00 gamma=90.00
With the nearest neighbours (Å) after each atom.
Space group Pnma (No. 62)
Asymmetric unit:
Li: 0.0000 0.0000 0.0000 [4 per cell]  4 O 2.07-2.16
Cr: 0.1381 0.2500 0.4497 [4 per cell]  3 O 2.07-2.10
P: 0.1884 0.7500 0.4634 [4 per cell]  4 O 1.55-1.56
O: 0.1142 0.5568 0.3404 [8 per cell]  1 P 1.55
O: 0.1464 0.2500 0.9029 [4 per cell]  1 P 1.56
O: 0.1596 0.7500 0.7637 [4 per cell]  1 P 1.56

=====

| no. | ΔH_f (0 K) (eV per atom) |
| --- | --- |
| 1 | -2.50 |
| 2 | -2.66 |
| 3 | -2.55 |
| 4 | -2.49 |